Below is an optimized crystal structure of Ho4CdSe7, with properties calculated at the GGA-PBE level.

Unit cell a=6.9353 b=6.9353 c=12.1326 alpha=75.70 beta=75.70 gamma=33.41
Closest atoms and distances in Å follow each position.
Fractional positions:
Ho  0.6942  0.6942  0.1987  7 Se 2.84-3.18
Ho  0.3065  0.3065  0.8040  7 Se 2.84-3.11
Ho  0.0000  0.0000  0.0024  6 Se 2.79-2.87
Ho  0.1152  0.1152  0.5714  6 Se 2.77-2.91
Cd  0.8841  0.8841  0.4218  6 Se 2.77-2.89
Se  0.7422  0.7422  0.6472  1 Cd 2.89, 4 Ho 2.91-3.03
Se  0.2579  0.2579  0.3509  3 Ho 2.85-2.98, 2 Cd 2.88
Se  0.3397  0.3397  0.0489  5 Ho 2.87-3.11
Se  0.6605  0.6605  0.9490  5 Ho 2.87-3.18
Se  0.0380  0.0380  0.2181  1 Cd 2.77, 3 Ho 2.79-2.84
Se  0.9618  0.9618  0.7852  4 Ho 2.81-2.86
Se  0.4999  0.4999  0.5024  2 Ho 2.77, 2 Cd 2.84

Calculated total energy ... -5.2426 eV per atom
ΔE_f ... -1.87 eV/atom
Energy with MP2020 corrections ... -5.518 eV/atom

Below is an optimized crystal structure of YHoCd2, with properties calculated at the GGA-PBE level.

Unit cell a=5.3008 b=5.3008 c=5.3008 alpha=60.00 beta=60.00 gamma=60.00
Closest atoms and distances in Å follow each position.
Fractional positions:
Y  0.0000  0.0000  0.0000  8 Cd 3.25
Ho  0.5000  0.5000  0.5000  8 Cd 3.25
Cd  0.7500  0.7500  0.7500  4 Ho 3.25, 4 Y 3.25
Cd  0.2500  0.2500  0.2500  4 Ho 3.25, 4 Y 3.25

Calculated total energy ... -3.5547 eV per atom
ΔE_f ... -0.33 eV/atom

Below is an optimized crystal structure of CdI2, with properties calculated at the GGA-PBE level.

Unit cell a=4.3420 b=4.3420 c=103.1601 alpha=90.00 beta=90.00 gamma=120.00
Closest atoms and distances in Å follow each position.
Fractional positions:
Cd  0.3333  0.6667  0.8036  6 I 3.04-3.05
Cd  0.6667  0.3333  0.1607  6 I 3.04-3.05
Cd  0.3333  0.6667  0.9464  6 I 3.04-3.05
Cd  0.6667  0.3333  0.5893  6 I 3.04-3.05
Cd  0.3333  0.6667  0.0893  6 I 3.04-3.05
Cd  0.0000  0.0000  0.7321  6 I 3.04-3.05
Cd  0.3333  0.6667  0.6607  6 I 3.04
Cd  0.6667  0.3333  0.3036  6 I 3.04-3.05
Cd  0.6667  0.3333  0.0178  6 I 3.04-3.05
Cd  0.6667  0.3333  0.4464  6 I 3.04-3.05
Cd  0.3333  0.6667  0.5178  6 I 3.04-3.05
Cd  0.3333  0.6667  0.3750  6 I 3.04-3.05
Cd  0.0000  0.0000  0.8750  6 I 3.04
Cd  0.3333  0.6667  0.2321  6 I 3.04-3.05
I  0.0000  0.0000  0.9297  3 Cd 3.05
I  0.0000  0.0000  0.6440  3 Cd 3.04
I  0.0000  0.0000  0.2154  3 Cd 3.05
I  0.3333  0.6667  0.1775  3 Cd 3.04
I  0.6667  0.3333  0.3917  3 Cd 3.04
I  0.0000  0.0000  0.0725  3 Cd 3.04
I  0.3333  0.6667  0.4632  3 Cd 3.04
I  0.6667  0.3333  0.8203  3 Cd 3.04
I  0.6667  0.3333  0.5346  3 Cd 3.05
I  0.6667  0.3333  0.1060  3 Cd 3.05
I  0.6667  0.3333  0.8917  3 Cd 3.04
I  0.6667  0.3333  0.9632  3 Cd 3.04
I  0.3333  0.6667  0.3203  3 Cd 3.04
I  0.6667  0.3333  0.2489  3 Cd 3.04
I  0.0000  0.0000  0.1440  3 Cd 3.05
I  0.0000  0.0000  0.5725  3 Cd 3.04
I  0.0000  0.0000  0.3582  3 Cd 3.05
I  0.0000  0.0000  0.0011  3 Cd 3.04
I  0.0000  0.0000  0.7868  3 Cd 3.05
I  0.0000  0.0000  0.2868  3 Cd 3.05
I  0.3333  0.6667  0.8583  3 Cd 3.04
I  0.6667  0.3333  0.6775  3 Cd 3.04
I  0.3333  0.6667  0.0346  3 Cd 3.05
I  0.0000  0.0000  0.5011  3 Cd 3.04
I  0.6667  0.3333  0.7489  3 Cd 3.05
I  0.3333  0.6667  0.7154  3 Cd 3.04
I  0.0000  0.0000  0.4297  3 Cd 3.05
I  0.3333  0.6667  0.6060  3 Cd 3.05

Calculated total energy ... -1.9086 eV per atom
ΔE_f ... -0.84 eV/atom
Energy with MP2020 corrections ... -2.161 eV/atom

Below is an optimized crystal structure of CdI2, with properties calculated at the GGA-PBE level.

Unit cell a=14.9818 b=14.9818 c=14.9818 alpha=16.63 beta=16.63 gamma=16.63
Closest atoms and distances in Å follow each position.
Fractional positions:
Cd  0.0000  0.0000  0.0000  6 I 3.04
Cd  0.5000  0.5000  0.5000  6 I 3.04
I  0.2056  0.2056  0.2056  3 Cd 3.04
I  0.6277  0.6277  0.6277  3 Cd 3.04
I  0.7944  0.7944  0.7944  3 Cd 3.04
I  0.3723  0.3723  0.3723  3 Cd 3.04

Calculated total energy ... -1.9020 eV per atom
ΔE_f ... -0.83 eV/atom
Energy with MP2020 corrections ... -2.155 eV/atom

Below is an optimized crystal structure of CdI2, with properties calculated at the GGA-PBE level.

Unit cell a=4.3334 b=4.3334 c=37.0166 alpha=90.00 beta=90.00 gamma=120.00
Closest atoms and distances in Å follow each position.
Fractional positions:
Cd  0.0000  0.0000  0.0500  6 I 3.04
Cd  0.6667  0.3333  0.8500  6 I 3.04
Cd  0.6667  0.3333  0.4500  6 I 3.04
Cd  0.6667  0.3333  0.6500  6 I 3.04
Cd  0.6667  0.3333  0.2499  6 I 3.04
I  0.3333  0.6667  0.2033  3 Cd 3.04
I  0.0000  0.0000  0.8966  3 Cd 3.04
I  0.6667  0.3333  0.0967  3 Cd 3.04
I  0.0000  0.0000  0.2966  3 Cd 3.04
I  0.3333  0.6667  0.0034  3 Cd 3.04
I  0.0000  0.0000  0.4966  3 Cd 3.04
I  0.0000  0.0000  0.6967  3 Cd 3.04
I  0.3333  0.6667  0.4033  3 Cd 3.04
I  0.3333  0.6667  0.6034  3 Cd 3.04
I  0.3333  0.6667  0.8034  3 Cd 3.04

Calculated total energy ... -1.9089 eV per atom
ΔE_f ... -0.84 eV/atom
Energy with MP2020 corrections ... -2.162 eV/atom

Below is an optimized crystal structure of CdI2, with properties calculated at the GGA-PBE level.

Unit cell a=4.3420 b=4.3420 c=110.4273 alpha=90.00 beta=90.00 gamma=120.00
Closest atoms and distances in Å follow each position.
Fractional positions:
Cd  0.0000  0.0000  0.0167  6 I 3.04
Cd  0.0000  0.0000  0.8167  6 I 3.04
Cd  0.3333  0.6667  0.4167  6 I 3.04
Cd  0.0000  0.0000  0.6167  6 I 3.04
Cd  0.0000  0.0000  0.3500  6 I 3.04
Cd  0.3333  0.6667  0.5500  6 I 3.04
Cd  0.3333  0.6667  0.9500  6 I 3.04
Cd  0.0000  0.0000  0.2833  6 I 3.04
Cd  0.3333  0.6667  0.2167  6 I 3.04-3.05
Cd  0.3333  0.6667  0.6833  6 I 3.04-3.05
Cd  0.0000  0.0000  0.1500  6 I 3.04
Cd  0.0000  0.0000  0.4833  6 I 3.04
Cd  0.3333  0.6667  0.0833  6 I 3.04
Cd  0.3333  0.6667  0.8833  6 I 3.04
Cd  0.3333  0.6667  0.7500  6 I 3.04
I  0.6667  0.3333  0.5657  3 Cd 3.04
I  0.3333  0.6667  0.8010  3 Cd 3.04
I  0.6667  0.3333  0.1656  3 Cd 3.04
I  0.6667  0.3333  0.3656  3 Cd 3.04
I  0.6667  0.3333  0.8990  3 Cd 3.04
I  0.3333  0.6667  0.4677  3 Cd 3.04
I  0.6667  0.3333  0.9656  3 Cd 3.04
I  0.6667  0.3333  0.2323  3 Cd 3.05
I  0.0000  0.0000  0.4010  3 Cd 3.04
I  0.6667  0.3333  0.6990  3 Cd 3.04
I  0.3333  0.6667  0.6010  3 Cd 3.04
I  0.0000  0.0000  0.8677  3 Cd 3.04
I  0.6667  0.3333  0.7656  3 Cd 3.04
I  0.0000  0.0000  0.7343  3 Cd 3.04
I  0.6667  0.3333  0.6323  3 Cd 3.04
I  0.0000  0.0000  0.2010  3 Cd 3.04
I  0.0000  0.0000  0.5344  3 Cd 3.04
I  0.6667  0.3333  0.0990  3 Cd 3.04
I  0.3333  0.6667  0.0010  3 Cd 3.04
I  0.3333  0.6667  0.1344  3 Cd 3.04
I  0.0000  0.0000  0.0677  3 Cd 3.04
I  0.6667  0.3333  0.0323  3 Cd 3.04
I  0.3333  0.6667  0.2677  3 Cd 3.04
I  0.6667  0.3333  0.2990  3 Cd 3.04
I  0.3333  0.6667  0.3344  3 Cd 3.04
I  0.0000  0.0000  0.9343  3 Cd 3.04
I  0.6667  0.3333  0.8323  3 Cd 3.04
I  0.0000  0.0000  0.6677  3 Cd 3.05
I  0.6667  0.3333  0.4323  3 Cd 3.04
I  0.6667  0.3333  0.4990  3 Cd 3.04

Calculated total energy ... -1.9085 eV per atom
ΔE_f ... -0.84 eV/atom
Energy with MP2020 corrections ... -2.161 eV/atom

Q: Number 6 is which compound?
A: CdI2